[1]
Below is an optimized crystal structure of BaH8PtC4N4O4, with properties calculated at the PBE level.

Summary:
The total magnetization is 0.00 μB/atom. Its polymorph energy (0 for the lowest one) is 0.00 eV/f.u. The theoretical density is 3.078 g/cm3. Its energy with MP2020 corrections is -6.456 eV/atom. The value obtained for the formation energy from the elements is -73.93 kJ/mol of atoms. As for the energy: -557.2 eV per cell.

abc: 12.359 13.963 6.679
angles: 90.00 107.80 90.00
Space group C2/c (No. 15)
Inequivalent atoms, fractional coordinates:
Ba 0.000 0.130 0.250
H 0.108 0.101 0.842
H 0.124 0.250 0.722
H 0.172 0.043 0.040
H 0.221 0.189 0.691
Pt 0.000 0.500 0.000
C 0.067 0.369 0.054
C 0.154 0.441 0.587
N 0.103 0.291 0.088
N 0.245 0.405 0.637
O 0.096 0.053 0.942
O 0.138 0.189 0.664


[2]
Below is an optimized crystal structure of BaH16C4S4N2O10, with properties calculated at the PBE level.

Summary:
The total magnetization is 0.00 μB/atom. The theoretical density is 2.162 g/cm3. Its energy with MP2020 corrections is -5.660 eV/atom. The value obtained for the formation energy from the elements is -87.61 kJ/mol of atoms. As for the energy: -810.2 eV per cell.

abc: 8.313 8.172 23.895
angles: 90.00 101.55 90.00
Space group P2_1/c (No. 14)
Inequivalent atoms, fractional coordinates:
Ba 0.124 0.186 0.433
H 0.018 0.229 0.565
H 0.069 0.102 0.267
H 0.092 0.089 0.194
H 0.097 0.595 0.736
H 0.156 0.101 0.585
H 0.249 0.713 0.426
H 0.252 0.621 0.845
H 0.316 0.570 0.660
H 0.355 0.138 0.141
H 0.394 0.502 0.871
H 0.395 0.567 0.462
H 0.434 0.737 0.252
H 0.442 0.067 0.261
H 0.465 0.741 0.939
H 0.478 0.529 0.622
H 0.498 0.717 0.184
C 0.045 0.028 0.228
C 0.356 0.008 0.129
C 0.368 0.697 0.455
C 0.461 0.652 0.220
S 0.170 0.509 0.296
S 0.212 0.516 0.564
S 0.281 0.536 0.193
S 0.359 0.711 0.022
N 0.209 0.704 0.545
N 0.243 0.070 0.745
O 0.048 0.013 0.077
O 0.048 0.115 0.559
O 0.149 0.651 0.169
O 0.198 0.110 0.842
O 0.234 0.675 0.311
O 0.259 0.097 0.023
O 0.274 0.513 0.863
O 0.314 0.540 0.011
O 0.326 0.079 0.651
O 0.482 0.240 0.440